Record 1
## LiCoSnO4 (PBE with a Hubbard U)

Data for a relaxed structure of LiCoSnO4.

Unit cell a=6.019 b=6.277 c=8.686 alpha=90.00 beta=90.00 gamma=90.00
Space group Imma (No. 74)
Asymmetric unit:
Li  0.000  0.250  0.124 [4 per cell]
Co  0.250  0.250  0.750 [4 per cell]
Sn  0.000  0.000  0.500 [4 per cell]
O  0.000  0.033  0.740 [8 per cell]
O  0.232  0.250  0.510 [8 per cell]

Properties
As for the calculated density: 5.03 g/cm³. For the formation energy, the calculation gives -1846.5 meV per atom.

Record 2
## Fe21Ni9O40 (PBE with a Hubbard U)

Data for a relaxed structure of Fe21Ni9O40.

Unit cell a=13.486 b=13.486 c=8.584 alpha=90.00 beta=90.00 gamma=90.00
Space group I-4 (No. 82)
Asymmetric unit:
Fe  0.000  0.000  0.000 [2 per cell]
Fe  0.001  0.250  0.124 [8 per cell]
Fe  0.049  0.101  0.377 [8 per cell]
Fe  0.050  0.599  0.874 [8 per cell]
Fe  0.148  0.300  0.377 [8 per cell]
Fe  0.150  0.800  0.873 [8 per cell]
Ni  0.000  0.500  0.250 [2 per cell]
Ni  0.098  0.700  0.500 [8 per cell]
Ni  0.101  0.200  0.751 [8 per cell]
O  0.006  0.248  0.365 [8 per cell]
O  0.008  0.747  0.885 [8 per cell]
O  0.046  0.093  0.615 [8 per cell]
O  0.046  0.590  0.634 [8 per cell]
O  0.054  0.110  0.140 [8 per cell]
O  0.054  0.608  0.117 [8 per cell]
O  0.143  0.294  0.138 [8 per cell]
O  0.144  0.794  0.110 [8 per cell]
O  0.152  0.309  0.613 [8 per cell]
O  0.154  0.809  0.633 [8 per cell]

Properties
As for the calculated density: 4.98 g/cm³. For the formation energy, the calculation gives -1487.0 meV per atom.

Record 3
## Li3MnB6O13 (PBE with a Hubbard U)

Data for a relaxed structure of Li3MnB6O13.

Unit cell a=7.518 b=10.294 c=11.818 alpha=90.00 beta=90.00 gamma=90.00
Space group P2_12_12_1 (No. 19)
Asymmetric unit:
Li  0.202  0.005  0.487 [4 per cell]
Li  0.215  0.741  0.240 [4 per cell]
Li  0.232  0.270  0.241 [4 per cell]
Mn  0.047  0.984  0.751 [4 per cell]
B  0.033  0.628  0.415 [4 per cell]
B  0.039  0.372  0.415 [4 per cell]
B  0.103  0.998  0.241 [4 per cell]
B  0.186  0.280  0.987 [4 per cell]
B  0.196  0.723  0.997 [4 per cell]
B  0.229  0.503  0.563 [4 per cell]
O  0.032  0.828  0.718 [4 per cell]
O  0.036  0.883  0.200 [4 per cell]
O  0.046  0.116  0.199 [4 per cell]
O  0.083  0.075  0.636 [4 per cell]
O  0.100  0.836  0.005 [4 per cell]
O  0.110  0.162  0.007 [4 per cell]
O  0.110  0.500  0.456 [4 per cell]
O  0.133  0.541  0.667 [4 per cell]
O  0.142  0.391  0.047 [4 per cell]
O  0.177  0.720  0.408 [4 per cell]
O  0.186  0.282  0.408 [4 per cell]
O  0.190  0.626  0.077 [4 per cell]
O  0.236  0.996  0.322 [4 per cell]

Properties
As for the calculated density: 2.53 g/cm³. For the formation energy, the calculation gives -2532.2 meV per atom.

Record 4
## Mg14CuNiO16 (PBE with a Hubbard U)

Data for a relaxed structure of Mg14CuNiO16.

Unit cell a=4.241 b=8.494 c=8.530 alpha=90.00 beta=90.00 gamma=90.00
Space group Pmmm (No. 47)
Asymmetric unit:
Mg  0.000  0.000  0.000 [1 per cell]
Mg  0.000  0.000  0.500 [1 per cell]
Mg  0.000  0.252  0.249 [4 per cell]
Mg  0.500  0.000  0.250 [2 per cell]
Mg  0.500  0.251  0.000 [2 per cell]
Mg  0.500  0.252  0.500 [2 per cell]
Mg  0.500  0.500  0.249 [2 per cell]
Cu  0.000  0.500  0.500 [1 per cell]
Ni  0.000  0.500  0.000 [1 per cell]
O  0.000  0.000  0.251 [2 per cell]
O  0.000  0.248  0.000 [2 per cell]
O  0.000  0.250  0.500 [2 per cell]
O  0.000  0.500  0.241 [2 per cell]
O  0.500  0.000  0.000 [1 per cell]
O  0.500  0.000  0.500 [1 per cell]
O  0.500  0.251  0.250 [4 per cell]
O  0.500  0.500  0.000 [1 per cell]
O  0.500  0.500  0.500 [1 per cell]

Properties
As for the calculated density: 3.88 g/cm³. For the formation energy, the calculation gives -2768.4 meV per atom.